1.
A plane-wave DFT calculation with GGA-PBE was carried out for Ca3SnS5 after structural relaxation.

* crystal system: hexagonal
* total DFT energy (no corrections): -4.76 eV per atom
* total magnetization: 0.00 μB/f.u.
* MP2020-corrected energy: -5.0413 eV per atom
* symmetry: P6_3cm
* theoretical density: 3.29 g/cm3

Structure (POSCAR):
```
Ca3SnS5
1.0
4.0359 -6.9904 0.0000
4.0359 6.9904 0.0000
0.0000 0.0000 7.1438
S Sn Ca
10 2 6
Direct
0.7634 0.0000 0.6560 S
0.0000 0.7634 0.6560 S
0.6667 0.3333 0.9153 S
0.2366 0.2366 0.6560 S
0.0000 0.2366 0.1560 S
0.2366 0.0000 0.1560 S
0.3333 0.6667 0.4153 S
0.6667 0.3333 0.4153 S
0.7634 0.7634 0.1560 S
0.3333 0.6667 0.9153 S
0.0000 0.0000 0.9057 Sn
0.0000 0.0000 0.4057 Sn
0.5778 0.5778 0.6715 Ca
0.0000 0.4222 0.6715 Ca
0.4222 0.4222 0.1715 Ca
0.4222 0.0000 0.6715 Ca
0.5778 0.0000 0.1715 Ca
0.0000 0.5778 0.1715 Ca
```

***

2.
A plane-wave DFT calculation with GGA-PBE was carried out for Ca4SnS6 after structural relaxation.

* crystal system: monoclinic
* total DFT energy (no corrections): -4.87 eV per atom
* total magnetization: 0.00 μB/f.u.
* MP2020-corrected energy: -5.1450 eV per atom
* symmetry: Cc
* largest piezoelectric modulus: 1.14 C/m2
* theoretical density: 2.49 g/cm3

Structure (POSCAR):
```
Ca4SnS6
1.0
3.7603 6.6927 0.0000
-3.7603 6.6927 0.0000
0.0000 5.1821 12.4703
S Ca Sn
12 8 2
Direct
0.7130 0.3088 0.7959 S
0.3088 0.7130 0.2959 S
0.0444 0.9835 0.5668 S
0.4153 0.0054 0.7436 S
0.5113 0.0710 0.0528 S
0.5987 0.0830 0.3642 S
0.0710 0.5113 0.5528 S
0.5486 0.5866 0.0171 S
0.0830 0.5987 0.8642 S
0.9835 0.0444 0.0668 S
0.5866 0.5486 0.5171 S
0.0054 0.4153 0.2436 S
0.2682 0.0513 0.3559 Ca
0.2291 0.4878 0.0433 Ca
0.4878 0.2291 0.5433 Ca
0.9164 0.6930 0.3619 Ca
0.0513 0.2682 0.8559 Ca
0.3520 0.7140 0.7049 Ca
0.7140 0.3520 0.2049 Ca
0.6930 0.9164 0.8619 Ca
0.3198 0.8768 0.1092 Sn
0.8768 0.3198 0.6092 Sn
```

***

3.
A plane-wave DFT calculation with GGA-PBE was carried out for CaSnS3 after structural relaxation.

* crystal system: triclinic
* total DFT energy (no corrections): -4.59 eV per atom
* total magnetization: 0.00 μB/f.u.
* MP2020-corrected energy: -4.8893 eV per atom
* symmetry: P-1
* theoretical density: 3.10 g/cm3

Structure (POSCAR):
```
CaSnS3
1.0
-12.3224 0.0000 0.0000
5.3944 11.8300 0.0000
-1.0357 -3.0990 -16.8771
Sn S Ca
18 54 18
Direct
0.0116 0.2939 0.1172 Sn
0.7499 0.2870 0.4885 Sn
0.8332 0.5320 0.0608 Sn
0.8576 0.5202 0.3121 Sn
0.9884 0.7061 0.8828 Sn
0.2501 0.7130 0.5115 Sn
0.4317 0.2425 0.7741 Sn
0.5683 0.7575 0.2259 Sn
0.6840 0.2005 0.1689 Sn
0.1424 0.4798 0.6879 Sn
0.1668 0.4680 0.9392 Sn
0.7183 0.8528 0.5107 Sn
0.0037 0.7810 0.1249 Sn
0.4830 0.5553 0.3927 Sn
0.2817 0.1472 0.4893 Sn
0.5170 0.4447 0.6073 Sn
0.3160 0.7995 0.8311 Sn
0.9963 0.2190 0.8751 Sn
0.9021 0.4220 0.4082 S
0.5198 0.4469 0.7579 S
0.6204 0.6801 0.6376 S
0.7299 0.0145 0.6241 S
0.8827 0.1915 0.4793 S
0.8567 0.3459 0.0590 S
0.8029 0.6552 0.4011 S
0.2701 0.9855 0.3759 S
0.3715 0.4912 0.9258 S
0.6150 0.7955 0.0914 S
0.7487 0.7828 0.8530 S
0.7842 0.0979 0.8681 S
0.3789 0.7792 0.2415 S
0.4690 0.9228 0.7534 S
0.1433 0.6541 0.9410 S
0.9400 0.9676 0.4521 S
0.8091 0.5372 0.9168 S
0.5471 0.1561 0.4858 S
0.1971 0.3448 0.5989 S
0.5310 0.0772 0.2466 S
0.2513 0.2172 0.1470 S
0.2158 0.9021 0.1319 S
0.0338 0.1524 0.9991 S
0.5993 0.8098 0.8959 S
0.0427 0.6293 0.2543 S
0.1661 0.8831 0.8373 S
0.5994 0.0863 0.0424 S
0.2631 0.5597 0.4069 S
0.8339 0.1169 0.1627 S
0.6285 0.5088 0.0742 S
0.7369 0.4403 0.5931 S
0.1173 0.8085 0.5207 S
0.3850 0.2045 0.9086 S
0.9662 0.8476 0.0009 S
0.1909 0.4628 0.0832 S
0.6815 0.3862 0.2355 S
0.0600 0.0324 0.5479 S
0.0759 0.1362 0.7616 S
0.4529 0.8439 0.5142 S
0.0979 0.5780 0.5918 S
0.9241 0.8638 0.2384 S
0.4007 0.1902 0.1041 S
0.3185 0.6138 0.7645 S
0.9170 0.6782 0.7483 S
0.3796 0.3199 0.3624 S
0.1978 0.2293 0.3833 S
0.9573 0.3707 0.7457 S
0.8022 0.7707 0.6167 S
0.4006 0.9137 0.9576 S
0.6865 0.9014 0.3371 S
0.6211 0.2208 0.7585 S
0.4802 0.5531 0.2421 S
0.3135 0.0986 0.6629 S
0.0830 0.3218 0.2517 S
0.9638 0.1784 0.6371 Ca
0.3810 0.3718 0.0437 Ca
0.5561 0.1055 0.8879 Ca
0.2338 0.5539 0.2472 Ca
0.0362 0.8216 0.3629 Ca
0.0976 0.3793 0.4689 Ca
0.2209 0.0099 0.9986 Ca
0.9024 0.6207 0.5311 Ca
0.6190 0.6282 0.9563 Ca
0.7791 0.9901 0.0014 Ca
0.4837 0.9546 0.3717 Ca
0.4439 0.8945 0.1121 Ca
0.3181 0.1071 0.2513 Ca
0.9124 0.0774 0.3031 Ca
0.6819 0.8929 0.7487 Ca
0.0876 0.9226 0.6969 Ca
0.5163 0.0454 0.6283 Ca
0.7662 0.4461 0.7528 Ca
```